#1
An optimized crystal structure of SrLaVFeO6. Source: the Materials Project, functional PBE+U.

a = 5.530 Å, b = 5.567 Å, c = 9.630 Å
α = 90.01°, β = 106.27°, γ = 119.45°
Space group P1 (No. 1)
Inequivalent atoms, fractional coordinates:
Sr1 0.000 0.000 0.000 [1 per cell]
Sr2 0.008 0.498 0.505 [1 per cell]
La1 0.489 0.244 0.749 [1 per cell]
La2 0.498 0.747 0.245 [1 per cell]
V1 0.748 0.869 0.625 [1 per cell]
V2 0.755 0.376 0.128 [1 per cell]
Fe1 0.250 0.122 0.374 [1 per cell]
Fe2 0.251 0.622 0.877 [1 per cell]
O1 0.024 0.261 0.733 [1 per cell]
O2 0.036 0.765 0.230 [1 per cell]
O3 0.039 0.789 0.737 [1 per cell]
O4 0.063 0.295 0.237 [1 per cell]
O5 0.462 0.473 0.020 [1 per cell]
O6 0.475 0.965 0.517 [1 per cell]
O7 0.482 0.976 0.027 [1 per cell]
O8 0.491 0.469 0.530 [1 per cell]
O9 0.553 0.774 0.776 [1 per cell]
O10 0.577 0.276 0.276 [1 per cell]
O11 0.916 0.460 0.968 [1 per cell]
O12 0.930 0.957 0.465 [1 per cell]

#2
An optimized crystal structure of SrLaVFeO6. Source: the Materials Project, functional PBE+U.

a = 5.536 Å, b = 5.563 Å, c = 9.641 Å
α = 90.03°, β = 106.53°, γ = 119.81°
Space group P1 (No. 1)
Inequivalent atoms, fractional coordinates:
Sr1 0.000 0.000 0.000 [1 per cell]
Sr2 0.000 0.499 0.502 [1 per cell]
La1 0.496 0.239 0.755 [1 per cell]
La2 0.500 0.752 0.248 [1 per cell]
V1 0.250 0.624 0.876 [1 per cell]
V2 0.251 0.126 0.377 [1 per cell]
Fe1 0.748 0.872 0.624 [1 per cell]
Fe2 0.753 0.377 0.129 [1 per cell]
O1 0.002 0.251 0.753 [1 per cell]
O2 0.003 0.000 0.499 [1 per cell]
O3 0.006 0.249 0.254 [1 per cell]
O4 0.006 0.758 0.253 [1 per cell]
O5 0.009 0.752 0.753 [1 per cell]
O6 0.011 0.506 0.002 [1 per cell]
O7 0.495 0.000 0.499 [1 per cell]
O8 0.495 0.751 0.753 [1 per cell]
O9 0.496 0.491 0.501 [1 per cell]
O10 0.498 0.249 0.255 [1 per cell]
O11 0.498 0.506 0.002 [1 per cell]
O12 0.501 0.002 0.999 [1 per cell]

Least stable: #1

#1
An optimized crystal structure of SrLaVFeO6. Source: the Materials Project, functional PBE+U.

a = 5.538 Å, b = 5.538 Å, c = 23.790 Å
α = 90.00°, β = 90.00°, γ = 90.00°
Space group I-4m2 (No. 119)
Inequivalent atoms, fractional coordinates:
Sr1 0.000 0.000 0.000 [2 per cell]
Sr2 0.000 0.000 0.333 [4 per cell]
La1 0.000 0.000 0.167 [4 per cell]
La2 0.000 0.000 0.500 [2 per cell]
V1 0.000 0.500 0.583 [4 per cell]
V2 0.000 0.500 0.750 [2 per cell]
Fe1 0.000 0.500 0.083 [4 per cell]
Fe2 0.000 0.500 0.250 [2 per cell]
O1 0.000 0.500 0.167 [4 per cell]
O2 0.000 0.500 0.501 [4 per cell]
O3 0.000 0.500 0.667 [4 per cell]
O4 0.244 0.254 0.583 [16 per cell]
O5 0.245 0.255 0.750 [8 per cell]

#2
An optimized crystal structure of SrLaVFeO6. Source: the Materials Project, functional PBE+U.

a = 9.560 Å, b = 5.603 Å, c = 9.591 Å
α = 90.00°, β = 108.41°, γ = 90.00°
Space group Cc (No. 9)
Inequivalent atoms, fractional coordinates:
Sr1 0.000 0.250 0.000 [4 per cell]
La1 0.248 0.249 0.749 [4 per cell]
V1 0.125 0.250 0.375 [4 per cell]
Fe1 0.375 0.250 0.125 [4 per cell]
O1 0.002 0.001 0.251 [4 per cell]
O2 0.002 0.499 0.251 [4 per cell]
O3 0.006 0.250 0.499 [4 per cell]
O4 0.246 0.250 0.253 [4 per cell]
O5 0.250 0.001 0.500 [4 per cell]
O6 0.250 0.498 0.500 [4 per cell]

Least stable: #1

#1
An optimized crystal structure of La2VFeO6. Source: the Materials Project, functional PBE+U.

a = 5.586 Å, b = 5.664 Å, c = 9.704 Å
α = 90.00°, β = 125.14°, γ = 90.00°
Space group P2_1/c (No. 14)
Inequivalent atoms, fractional coordinates:
La1 0.240 0.041 0.250 [4 per cell]
V1 0.000 0.000 0.500 [2 per cell]
Fe1 0.500 0.000 0.000 [2 per cell]
O1 0.166 0.214 0.955 [4 per cell]
O2 0.243 0.714 0.954 [4 per cell]
O3 0.336 0.019 0.750 [4 per cell]

#2
An optimized crystal structure of La2VFeO6. Source: the Materials Project, functional PBE+U.

a = 5.610 Å, b = 5.679 Å, c = 7.911 Å
α = 90.06°, β = 90.30°, γ = 90.46°
Space group P-1 (No. 2)
Inequivalent atoms, fractional coordinates:
La1 0.010 0.457 0.249 [2 per cell]
La2 0.489 0.959 0.252 [2 per cell]
V1 0.000 0.000 0.500 [1 per cell]
V2 0.500 0.500 0.000 [1 per cell]
Fe1 0.000 0.000 0.000 [1 per cell]
Fe2 0.500 0.500 0.500 [1 per cell]
O1 0.088 0.978 0.747 [2 per cell]
O2 0.210 0.714 0.454 [2 per cell]
O3 0.221 0.700 0.049 [2 per cell]
O4 0.294 0.215 0.453 [2 per cell]
O5 0.309 0.229 0.045 [2 per cell]
O6 0.412 0.477 0.752 [2 per cell]

Least stable: #2